Record 1
# NaSi6O12 (PBE-GGA, optimized geometry)
data_NaSi6O12
_cell_length_a 16.193
_cell_length_b 16.193
_cell_length_c 16.193
_cell_angle_alpha 109.47
_cell_angle_beta 109.47
_cell_angle_gamma 109.47
_symmetry_space_group_name_H-M 'P 1'
_symmetry_Int_Tables_number 1
loop_
_symmetry_equiv_pos_as_xyz
'x,y,z'
loop_
_atom_site_label
_atom_site_type_symbol
_atom_site_fract_x
_atom_site_fract_y
_atom_site_fract_z
Na1 Na 0.000 0.000 0.255
Na2 Na 0.000 0.000 0.745
Na3 Na 0.000 0.255 0.000
Na4 Na 0.000 0.745 0.000
Na5 Na 0.255 0.000 0.000
Na6 Na 0.255 0.255 0.255
Na7 Na 0.745 0.000 0.000
Na8 Na 0.745 0.745 0.745
Si1 Si 0.118 0.237 0.523
Si2 Si 0.118 0.237 0.714
Si3 Si 0.118 0.405 0.882
Si4 Si 0.118 0.523 0.237
Si5 Si 0.118 0.595 0.882
Si6 Si 0.118 0.714 0.237
Si7 Si 0.118 0.882 0.405
Si8 Si 0.118 0.882 0.595
Si9 Si 0.237 0.118 0.523
Si10 Si 0.237 0.118 0.714
Si11 Si 0.237 0.523 0.118
Si12 Si 0.237 0.714 0.118
Si13 Si 0.286 0.405 0.523
Si14 Si 0.286 0.523 0.405
Si15 Si 0.286 0.763 0.882
Si16 Si 0.286 0.882 0.763
Si17 Si 0.405 0.118 0.882
Si18 Si 0.405 0.286 0.523
Si19 Si 0.405 0.523 0.286
Si20 Si 0.405 0.882 0.118
Si21 Si 0.477 0.595 0.714
Si22 Si 0.477 0.714 0.595
Si23 Si 0.477 0.763 0.882
Si24 Si 0.477 0.882 0.763
Si25 Si 0.523 0.118 0.237
Si26 Si 0.523 0.237 0.118
Si27 Si 0.523 0.286 0.405
Si28 Si 0.523 0.405 0.286
Si29 Si 0.595 0.118 0.882
Si30 Si 0.595 0.477 0.714
Si31 Si 0.595 0.714 0.477
Si32 Si 0.595 0.882 0.118
Si33 Si 0.714 0.118 0.237
Si34 Si 0.714 0.237 0.118
Si35 Si 0.714 0.477 0.595
Si36 Si 0.714 0.595 0.477
Si37 Si 0.763 0.286 0.882
Si38 Si 0.763 0.477 0.882
Si39 Si 0.763 0.882 0.286
Si40 Si 0.763 0.882 0.477
Si41 Si 0.882 0.118 0.405
Si42 Si 0.882 0.118 0.595
Si43 Si 0.882 0.286 0.763
Si44 Si 0.882 0.405 0.118
Si45 Si 0.882 0.477 0.763
Si46 Si 0.882 0.595 0.118
Si47 Si 0.882 0.763 0.286
Si48 Si 0.882 0.763 0.477
O1 O 0.000 0.147 0.656
O2 O 0.000 0.189 0.444
O3 O 0.000 0.344 0.853
O4 O 0.000 0.444 0.189
O5 O 0.000 0.556 0.811
O6 O 0.000 0.656 0.147
O7 O 0.000 0.811 0.556
O8 O 0.000 0.853 0.344
O9 O 0.139 0.277 0.639
O10 O 0.139 0.500 0.861
O11 O 0.139 0.639 0.277
O12 O 0.139 0.861 0.500
O13 O 0.146 0.332 0.815
O14 O 0.146 0.815 0.332
O15 O 0.147 0.000 0.656
O16 O 0.147 0.147 0.491
O17 O 0.147 0.491 0.147
O18 O 0.147 0.656 0.000
O19 O 0.185 0.332 0.517
O20 O 0.185 0.517 0.332
O21 O 0.185 0.668 0.854
O22 O 0.185 0.854 0.668
O23 O 0.189 0.000 0.444
O24 O 0.189 0.189 0.746
O25 O 0.189 0.444 0.000
O26 O 0.189 0.746 0.189
O27 O 0.254 0.444 0.444
O28 O 0.254 0.811 0.811
O29 O 0.277 0.139 0.639
O30 O 0.277 0.639 0.139
O31 O 0.332 0.146 0.815
O32 O 0.332 0.185 0.517
O33 O 0.332 0.517 0.185
O34 O 0.332 0.815 0.146
O35 O 0.344 0.000 0.853
O36 O 0.344 0.344 0.491
O37 O 0.344 0.491 0.344
O38 O 0.344 0.853 0.000
O39 O 0.361 0.500 0.639
O40 O 0.361 0.639 0.500
O41 O 0.361 0.723 0.861
O42 O 0.361 0.861 0.723
O43 O 0.444 0.000 0.189
O44 O 0.444 0.189 0.000
O45 O 0.444 0.254 0.444
O46 O 0.444 0.444 0.254
O47 O 0.483 0.668 0.815
O48 O 0.483 0.815 0.668
O49 O 0.491 0.147 0.147
O50 O 0.491 0.344 0.344
O51 O 0.500 0.139 0.861
O52 O 0.500 0.361 0.639
O53 O 0.500 0.639 0.361
O54 O 0.500 0.861 0.139
O55 O 0.509 0.656 0.656
O56 O 0.509 0.853 0.853
O57 O 0.517 0.185 0.332
O58 O 0.517 0.332 0.185
O59 O 0.556 0.000 0.811
O60 O 0.556 0.556 0.746
O61 O 0.556 0.746 0.556
O62 O 0.556 0.811 0.000
O63 O 0.639 0.139 0.277
O64 O 0.639 0.277 0.139
O65 O 0.639 0.361 0.500
O66 O 0.639 0.500 0.361
O67 O 0.656 0.000 0.147
O68 O 0.656 0.147 0.000
O69 O 0.656 0.509 0.656
O70 O 0.656 0.656 0.509
O71 O 0.668 0.185 0.854
O72 O 0.668 0.483 0.815
O73 O 0.668 0.815 0.483
O74 O 0.668 0.854 0.185
O75 O 0.723 0.361 0.861
O76 O 0.723 0.861 0.361
O77 O 0.746 0.189 0.189
O78 O 0.746 0.556 0.556
O79 O 0.811 0.000 0.556
O80 O 0.811 0.254 0.811
O81 O 0.811 0.556 0.000
O82 O 0.811 0.811 0.254
O83 O 0.815 0.146 0.332
O84 O 0.815 0.332 0.146
O85 O 0.815 0.483 0.668
O86 O 0.815 0.668 0.483
O87 O 0.853 0.000 0.344
O88 O 0.853 0.344 0.000
O89 O 0.853 0.509 0.853
O90 O 0.853 0.853 0.509
O91 O 0.854 0.185 0.668
O92 O 0.854 0.668 0.185
O93 O 0.861 0.139 0.500
O94 O 0.861 0.361 0.723
O95 O 0.861 0.500 0.139
O96 O 0.861 0.723 0.361
# calculated total energy	-7.508	eV/atom
# crystal system	cubic

Record 2
# Na2Si2O5 (PBE-GGA, optimized geometry)
data_Na2Si2O5
_cell_length_a 4.906
_cell_length_b 24.263
_cell_length_c 8.222
_cell_angle_alpha 90.00
_cell_angle_beta 90.16
_cell_angle_gamma 90.00
_symmetry_space_group_name_H-M 'P 1'
_symmetry_Int_Tables_number 1
loop_
_symmetry_equiv_pos_as_xyz
'x,y,z'
loop_
_atom_site_label
_atom_site_type_symbol
_atom_site_fract_x
_atom_site_fract_y
_atom_site_fract_z
Na1 Na 0.226 0.014 0.144
Na2 Na 0.226 0.486 0.644
Na3 Na 0.247 0.528 0.102
Na4 Na 0.247 0.972 0.602
Na5 Na 0.255 0.219 0.777
Na6 Na 0.255 0.281 0.277
Na7 Na 0.270 0.738 0.474
Na8 Na 0.270 0.762 0.974
Na9 Na 0.730 0.238 0.026
Na10 Na 0.730 0.262 0.526
Na11 Na 0.745 0.719 0.723
Na12 Na 0.745 0.781 0.223
Na13 Na 0.753 0.028 0.398
Na14 Na 0.753 0.472 0.898
Na15 Na 0.774 0.514 0.356
Na16 Na 0.774 0.986 0.856
Si1 Si 0.186 0.159 0.143
Si2 Si 0.186 0.341 0.643
Si3 Si 0.206 0.637 0.804
Si4 Si 0.206 0.863 0.304
Si5 Si 0.293 0.110 0.482
Si6 Si 0.293 0.390 0.982
Si7 Si 0.315 0.592 0.462
Si8 Si 0.315 0.908 0.962
Si9 Si 0.685 0.092 0.038
Si10 Si 0.685 0.408 0.538
Si11 Si 0.707 0.610 0.018
Si12 Si 0.707 0.890 0.518
Si13 Si 0.794 0.137 0.696
Si14 Si 0.794 0.363 0.196
Si15 Si 0.814 0.659 0.357
Si16 Si 0.814 0.841 0.857
O1 O 0.119 0.131 0.643
O2 O 0.119 0.369 0.143
O3 O 0.142 0.644 0.384
O4 O 0.142 0.856 0.884
O5 O 0.233 0.048 0.424
O6 O 0.233 0.452 0.924
O7 O 0.244 0.158 0.341
O8 O 0.244 0.342 0.841
O9 O 0.247 0.218 0.066
O10 O 0.247 0.282 0.566
O11 O 0.253 0.533 0.384
O12 O 0.253 0.967 0.884
O13 O 0.255 0.589 0.661
O14 O 0.255 0.911 0.161
O15 O 0.267 0.699 0.748
O16 O 0.267 0.801 0.248
O17 O 0.358 0.108 0.060
O18 O 0.358 0.392 0.560
O19 O 0.380 0.615 0.964
O20 O 0.380 0.885 0.464
O21 O 0.620 0.115 0.536
O22 O 0.620 0.385 0.036
O23 O 0.642 0.608 0.440
O24 O 0.642 0.892 0.940
O25 O 0.733 0.199 0.752
O26 O 0.733 0.301 0.252
O27 O 0.745 0.089 0.839
O28 O 0.745 0.411 0.339
O29 O 0.747 0.033 0.116
O30 O 0.747 0.467 0.616
O31 O 0.753 0.718 0.434
O32 O 0.753 0.782 0.934
O33 O 0.756 0.658 0.159
O34 O 0.756 0.842 0.659
O35 O 0.767 0.548 0.076
O36 O 0.767 0.952 0.576
O37 O 0.858 0.144 0.116
O38 O 0.858 0.356 0.616
O39 O 0.881 0.631 0.857
O40 O 0.881 0.869 0.357
# offset from the most stable computed form	0.10	kJ per mole of atoms
# calculated total energy	-6.769	eV/atom
# crystal system	monoclinic